1.
The following is a DFT calculation (PBE) of an optimized crystal structure of CaGaCu3Se4.

a = 5.995 Å, b = 5.994 Å, c = 5.994 Å
α = 90.00°, β = 90.00°, γ = 90.00°
Positions (direct):
Ca: 0.500 0.500 0.500
Ga: 0.000 0.000 0.000
Cu: 0.000 0.500 0.000
Cu: 0.000 0.000 0.500
Cu: 0.500 0.000 0.000
Se: 0.232 0.232 0.232
Se: 0.768 0.768 0.232
Se: 0.232 0.768 0.768
Se: 0.768 0.232 0.768

**E (MP2020)**: -37.44 eV per formula unit
**Electronic total energy**: -0.2903 Ry per atom
**E_form**: -0.680 eV/atom

2.
The following is a DFT calculation (PBE) of an optimized crystal structure of CaCu2Ge2.

a = 4.148 Å, b = 4.148 Å, c = 5.919 Å
α = 110.51°, β = 110.51°, γ = 90.00°
Positions (direct):
Ca: 0.000 0.000 0.000
Cu: 0.750 0.250 0.500
Cu: 0.250 0.750 0.500
Ge: 0.378 0.378 0.757
Ge: 0.622 0.622 0.243

**Electronic total energy**: -0.3134 Ry per atom
**E_form**: -0.373 eV/atom

3.
The following is a DFT calculation (PBE) of an optimized crystal structure of CaCuGe.

a = 4.253 Å, b = 4.262 Å, c = 3.840 Å
α = 90.00°, β = 90.00°, γ = 60.06°
Positions (direct):
Ca: 0.000 0.000 0.000
Cu: 0.666 0.668 0.500
Ge: 0.334 0.333 0.500

**Electronic total energy**: -0.2957 Ry per atom
**E_form**: -0.448 eV/atom

4.
The following is a DFT calculation (PBE) of an optimized crystal structure of CaCuGe.

a = 4.369 Å, b = 7.499 Å, c = 21.358 Å
α = 90.00°, β = 90.00°, γ = 90.00°
Positions (direct):
Ca: 0.250 0.714 0.002
Ca: 0.750 0.286 0.998
Ca: 0.750 0.214 0.498
Ca: 0.250 0.786 0.502
Ca: 0.250 0.792 0.166
Ca: 0.750 0.208 0.834
Ca: 0.750 0.292 0.334
Ca: 0.250 0.708 0.666
Ca: 0.250 0.706 0.333
Ca: 0.750 0.294 0.667
Ca: 0.750 0.206 0.167
Ca: 0.250 0.794 0.833
Cu: 0.250 0.415 0.097
Cu: 0.750 0.585 0.903
Cu: 0.750 0.915 0.403
Cu: 0.250 0.085 0.597
Cu: 0.250 0.413 0.235
Cu: 0.750 0.587 0.765
Cu: 0.750 0.913 0.265
Cu: 0.250 0.087 0.735
Cu: 0.250 0.419 0.436
Cu: 0.750 0.581 0.564
Cu: 0.750 0.919 0.064
Cu: 0.250 0.081 0.936
Ge: 0.250 0.090 0.069
Ge: 0.750 0.910 0.931
Ge: 0.750 0.590 0.431
Ge: 0.250 0.410 0.569
Ge: 0.250 0.082 0.269
Ge: 0.750 0.918 0.731
Ge: 0.750 0.582 0.231
Ge: 0.250 0.418 0.769
Ge: 0.250 0.085 0.398
Ge: 0.750 0.915 0.602
Ge: 0.750 0.585 0.102
Ge: 0.250 0.415 0.898

**Electronic total energy**: -0.2974 Ry per atom
**E_form**: -0.470 eV/atom

5.
The following is a DFT calculation (PBE) of an optimized crystal structure of CaCuGe.

a = 4.360 Å, b = 7.507 Å, c = 21.471 Å
α = 90.00°, β = 90.00°, γ = 90.00°
Positions (direct):
Ca: 0.264 0.715 0.499
Ca: 0.764 0.285 0.501
Ca: 0.764 0.215 0.001
Ca: 0.264 0.785 0.999
Ca: 0.762 0.207 0.666
Ca: 0.262 0.793 0.334
Ca: 0.262 0.707 0.834
Ca: 0.762 0.293 0.166
Ca: 0.260 0.794 0.667
Ca: 0.760 0.206 0.333
Ca: 0.760 0.294 0.833
Ca: 0.260 0.706 0.167
Cu: 0.751 0.584 0.597
Cu: 0.251 0.416 0.403
Cu: 0.251 0.084 0.903
Cu: 0.751 0.916 0.097
Cu: 0.754 0.587 0.735
Cu: 0.254 0.413 0.265
Cu: 0.254 0.087 0.765
Cu: 0.754 0.913 0.235
Cu: 0.255 0.078 0.563
Cu: 0.755 0.922 0.437
Cu: 0.755 0.578 0.937
Cu: 0.255 0.422 0.063
Ge: 0.254 0.420 0.730
Ge: 0.754 0.580 0.270
Ge: 0.754 0.920 0.770
Ge: 0.254 0.080 0.230
Ge: 0.755 0.909 0.570
Ge: 0.255 0.091 0.430
Ge: 0.255 0.409 0.930
Ge: 0.755 0.591 0.070
Ge: 0.255 0.415 0.602
Ge: 0.755 0.585 0.398
Ge: 0.755 0.915 0.898
Ge: 0.255 0.085 0.102

**Electronic total energy**: -0.2973 Ry per atom
**E_form**: -0.469 eV/atom

6.
The following is a DFT calculation (PBE) of an optimized crystal structure of CaCuGeH2O5.

a = 5.220 Å, b = 5.572 Å, c = 16.266 Å
α = 90.00°, β = 90.00°, γ = 102.61°
Positions (direct):
Ca: 0.157 0.338 0.822
Ca: 0.843 0.162 0.322
Ca: 0.843 0.662 0.178
Ca: 0.157 0.838 0.678
Cu: 0.000 0.000 0.000
Cu: 0.000 0.500 0.500
Cu: 0.500 0.500 0.000
Cu: 0.500 0.000 0.500
Ge: 0.490 0.965 0.889
Ge: 0.510 0.535 0.389
Ge: 0.510 0.035 0.111
Ge: 0.490 0.465 0.611
H: 0.688 0.584 0.763
H: 0.312 0.916 0.263
H: 0.312 0.416 0.237
H: 0.688 0.084 0.737
H: 0.863 0.750 0.833
H: 0.137 0.750 0.333
H: 0.137 0.250 0.167
H: 0.863 0.250 0.667
O: 0.408 0.041 0.788
O: 0.592 0.459 0.288
O: 0.592 0.959 0.212
O: 0.408 0.541 0.712
O: 0.340 0.170 0.951
O: 0.660 0.330 0.451
O: 0.660 0.830 0.049
O: 0.340 0.670 0.549
O: 0.839 0.031 0.894
O: 0.161 0.469 0.394
O: 0.161 0.969 0.106
O: 0.839 0.531 0.606
O: 0.347 0.653 0.912
O: 0.653 0.847 0.412
O: 0.653 0.347 0.088
O: 0.347 0.153 0.588
O: 0.867 0.620 0.792
O: 0.133 0.880 0.292
O: 0.133 0.380 0.208
O: 0.867 0.120 0.708

**E (MP2020)**: -61.68 eV per formula unit
**Electronic total energy**: -0.4281 Ry per atom
**E_form**: -1.942 eV/atom

7.
The following is a DFT calculation (PBE) of an optimized crystal structure of Ca3Cu2Ge3O12.

a = 10.779 Å, b = 10.779 Å, c = 10.779 Å
α = 109.47°, β = 109.47°, γ = 109.47°
Positions (direct):
Ca: 0.250 0.875 0.625
Ca: 0.750 0.625 0.875
Ca: 0.625 0.875 0.750
Ca: 0.875 0.625 0.250
Ca: 0.625 0.250 0.875
Ca: 0.875 0.750 0.625
Ca: 0.750 0.125 0.375
Ca: 0.250 0.375 0.125
Ca: 0.375 0.125 0.250
Ca: 0.125 0.375 0.750
Ca: 0.375 0.750 0.125
Ca: 0.125 0.250 0.375
Cu: 0.500 0.500 0.500
Cu: 0.500 0.000 0.500
Cu: 0.000 0.500 0.500
Cu: 0.500 0.500 0.000
Cu: 0.000 0.000 0.500
Cu: 0.000 0.500 0.000
Cu: 0.500 0.000 0.000
Cu: 0.000 0.000 0.000
Ge: 0.125 0.750 0.875
Ge: 0.875 0.250 0.125
Ge: 0.625 0.375 0.250
Ge: 0.750 0.875 0.125
Ge: 0.875 0.125 0.750
Ge: 0.250 0.625 0.375
Ge: 0.750 0.375 0.625
Ge: 0.250 0.125 0.875
Ge: 0.125 0.875 0.250
Ge: 0.375 0.625 0.750
Ge: 0.625 0.750 0.375
Ge: 0.375 0.250 0.625
O: 0.416 0.815 0.797
O: 0.881 0.399 0.084
O: 0.101 0.982 0.685
O: 0.518 0.619 0.703
O: 0.685 0.084 0.703
O: 0.619 0.703 0.518
O: 0.619 0.416 0.101
O: 0.703 0.518 0.619
O: 0.815 0.518 0.399
O: 0.982 0.797 0.881
O: 0.797 0.881 0.982
O: 0.703 0.685 0.084
O: 0.416 0.101 0.619
O: 0.399 0.815 0.518
O: 0.084 0.703 0.685
O: 0.101 0.619 0.416
O: 0.518 0.399 0.815
O: 0.084 0.881 0.399
O: 0.982 0.685 0.101
O: 0.185 0.482 0.601
O: 0.685 0.101 0.982
O: 0.797 0.416 0.815
O: 0.399 0.084 0.881
O: 0.881 0.982 0.797
O: 0.584 0.185 0.203
O: 0.119 0.601 0.916
O: 0.899 0.018 0.315
O: 0.482 0.381 0.297
O: 0.315 0.916 0.297
O: 0.381 0.297 0.482
O: 0.381 0.584 0.899
O: 0.297 0.482 0.381
O: 0.119 0.018 0.203
O: 0.601 0.916 0.119
O: 0.203 0.584 0.185
O: 0.185 0.203 0.584
O: 0.315 0.899 0.018
O: 0.018 0.315 0.899
O: 0.916 0.119 0.601
O: 0.482 0.601 0.185
O: 0.899 0.381 0.584
O: 0.916 0.297 0.315
O: 0.601 0.185 0.482
O: 0.584 0.899 0.381
O: 0.297 0.315 0.916
O: 0.203 0.119 0.018
O: 0.018 0.203 0.119
O: 0.815 0.797 0.416

**E (MP2020)**: -132.25 eV per formula unit
**Electronic total energy**: -0.4557 Ry per atom
**E_form**: -2.240 eV/atom

8.
The following is a DFT calculation (PBE) of an optimized crystal structure of Sr4CaPr2Cu4HgO14.

a = 13.029 Å, b = 13.029 Å, c = 13.029 Å
α = 156.15°, β = 156.15°, γ = 33.98°
Positions (direct):
Sr: 0.605 0.105 0.500
Sr: 0.106 0.606 0.500
Sr: 0.895 0.395 0.500
Sr: 0.394 0.894 0.500
Ca: 0.250 0.750 0.500
Pr: 0.750 0.250 0.500
Pr: 0.000 0.000 0.000
Cu: 0.177 0.177 0.000
Cu: 0.679 0.679 0.000
Cu: 0.321 0.321 0.000
Cu: 0.823 0.823 0.000
Hg: 0.500 0.500 0.000
O: 0.437 0.935 0.000
O: 0.935 0.438 0.000
O: 0.562 0.065 0.000
O: 0.065 0.563 0.000
O: 0.935 0.935 0.498
O: 0.437 0.438 0.502
O: 0.065 0.065 0.502
O: 0.562 0.563 0.498
O: 0.000 0.500 0.500
O: 0.500 0.000 0.500
O: 0.091 0.091 0.000
O: 0.586 0.586 0.000
O: 0.414 0.414 0.000
O: 0.909 0.909 0.000

**E (MP2020)**: -164.22 eV per formula unit
**Electronic total energy**: -0.4370 Ry per atom
**E_form**: -2.305 eV/atom

9.
The following is a DFT calculation (PBE) of an optimized crystal structure of Sr4CaHoCu6Pb4O16.

a = 5.423 Å, b = 5.446 Å, c = 15.924 Å
α = 89.86°, β = 89.42°, γ = 89.88°
Positions (direct):
Sr: 0.002 0.001 0.781
Sr: 0.998 0.999 0.219
Sr: 0.502 0.500 0.780
Sr: 0.498 0.500 0.220
Ca: 0.000 0.000 0.000
Ho: 0.500 0.500 0.000
Cu: 0.500 0.000 0.895
Cu: 0.500 0.000 0.105
Cu: 0.500 0.500 0.500
Cu: 0.000 0.500 0.895
Cu: 0.000 0.500 0.105
Cu: 0.000 0.000 0.500
Pb: 0.996 0.496 0.611
Pb: 0.004 0.504 0.389
Pb: 0.497 0.010 0.611
Pb: 0.503 0.990 0.389
O: 0.503 0.995 0.748
O: 0.497 0.005 0.252
O: 0.256 0.256 0.905
O: 0.744 0.744 0.095
O: 0.003 0.505 0.748
O: 0.997 0.495 0.252
O: 0.744 0.255 0.905
O: 0.256 0.745 0.095
O: 0.745 0.745 0.906
O: 0.255 0.255 0.094
O: 0.549 0.447 0.614
O: 0.451 0.553 0.386
O: 0.256 0.744 0.905
O: 0.744 0.256 0.095
O: 0.057 0.067 0.613
O: 0.943 0.933 0.387

**E (MP2020)**: -195.91 eV per formula unit
**Electronic total energy**: -0.4247 Ry per atom
**E_form**: -1.999 eV/atom

10.
The following is a DFT calculation (PBE) of an optimized crystal structure of CaIn2Cu.

a = 5.856 Å, b = 5.856 Å, c = 7.506 Å
α = 90.00°, β = 90.00°, γ = 134.94°
Positions (direct):
Ca: 0.068 0.932 0.250
Ca: 0.932 0.068 0.750
In: 0.642 0.358 0.550
In: 0.358 0.642 0.450
In: 0.642 0.358 0.950
In: 0.358 0.642 0.050
Cu: 0.213 0.787 0.750
Cu: 0.787 0.213 0.250

**Electronic total energy**: -0.2358 Ry per atom
**E_form**: -0.307 eV/atom

11.
The following is a DFT calculation (PBE) of an optimized crystal structure of CaIn6Cu6.

a = 7.114 Å, b = 7.114 Å, c = 7.114 Å
α = 133.93°, β = 99.25°, γ = 98.36°
Positions (direct):
Ca: 0.000 0.000 0.000
In: 0.662 0.000 0.662
In: 0.338 0.000 0.338
In: 0.657 0.657 0.000
In: 0.343 0.343 0.000
In: 0.184 0.684 0.500
In: 0.816 0.316 0.500
Cu: 0.000 0.000 0.500
Cu: 0.000 0.500 0.000
Cu: 0.500 0.500 0.500
Cu: 0.500 0.000 0.000
Cu: 0.236 0.500 0.736
Cu: 0.764 0.500 0.264

**Electronic total energy**: -0.2513 Ry per atom
**E_form**: -0.103 eV/atom

12.
The following is a DFT calculation (PBE) of an optimized crystal structure of Ca3CuIrO6.

a = 6.539 Å, b = 6.539 Å, c = 6.511 Å
α = 89.97°, β = 89.97°, γ = 91.19°
Positions (direct):
Ca: 0.597 0.403 0.250
Ca: 0.403 0.597 0.750
Ca: 0.740 0.890 0.382
Ca: 0.110 0.260 0.118
Ca: 0.260 0.110 0.618
Ca: 0.890 0.740 0.882
Cu: 0.808 0.192 0.750
Cu: 0.192 0.808 0.250
Ir: 0.500 0.000 0.000
Ir: 0.000 0.500 0.500
O: 0.904 0.207 0.456
O: 0.793 0.096 0.044
O: 0.096 0.793 0.544
O: 0.207 0.904 0.956
O: 0.033 0.401 0.793
O: 0.599 0.967 0.707
O: 0.967 0.599 0.207
O: 0.401 0.033 0.293
O: 0.709 0.574 0.566
O: 0.426 0.291 0.934
O: 0.291 0.426 0.434
O: 0.574 0.709 0.066

**E (MP2020)**: -73.94 eV per formula unit
**Electronic total energy**: -0.4665 Ry per atom
**E_form**: -2.300 eV/atom

Which value of electronic total energy does entry 5 give? -0.2973 Ry per atom

Number 6 is which compound? CaCuGeH2O5